# MnCu2P2O9

A geometry-optimized MnCu2P2O9 structure (PBE with a Hubbard U, the Materials Project).

Lattice parameters (Å, degrees): 5.4610 6.1154 20.6878 90.00 101.37 90.00
Closest atoms and distances in Å follow each position.
Space group P2_1/c (No. 14)
Inequivalent atoms, fractional coordinates:
Mn1 0.1406 0.0689 0.1441  2 O 1.86-2.07
Cu1 0.2223 0.2441 0.4288  4 O 1.82-1.98
Cu2 0.2671 0.5758 0.8081  4 O 1.88-2.07
P1 0.3171 0.0871 0.7697  4 O 1.54-1.58
P2 0.4003 0.7370 0.4457  4 O 1.51-1.59
O1 0.0980 0.7191 0.6146  1 Cu 1.82, 1 Mn 1.86
O2 0.1875 0.5546 0.4329  1 P 1.59
O3 0.1917 0.6136 0.2960  1 P 1.56
O4 0.2031 0.1357 0.6969  1 P 1.54
O5 0.2414 0.5688 0.9065  1 P 1.59
O6 0.2867 0.2300 0.3189  1 P 1.54
O7 0.3703 0.1830 0.0816  1 P 1.51
O8 0.3942 0.5447 0.7251  1 P 1.58
O9 0.4543 0.7195 0.0206  1 P 1.54

Computed properties:
M_tot: 4.92 μB per formula unit
Formation energy from the elements: -26.8 eV per formula unit
ρ: 3.80 g cm⁻³